[1]
# RbAgP2O6 (PBE, relaxed)
# V: 652.6 Å³ per cell
# DFT total energy: -6.35 eV/atom
# ΔE_f: -2.33 eV/atom
data_RbAgP2O6
_cell_length_a 6.3099
_cell_length_b 13.5666
_cell_length_c 7.6552
_cell_angle_alpha 90.00
_cell_angle_beta 95.24
_cell_angle_gamma 90.00
_space_group_name_H-M_alt 'P 1 21/c 1'
_space_group_IT_number 14
_space_group_name_Hall '-P 2ybc'
loop_
_atom_site_label
_atom_site_type_symbol
_atom_site_fract_x
_atom_site_fract_y
_atom_site_fract_z
_atom_site_occupancy
Rb1 Rb 0.2074 0.1690 0.2668 1
Ag1 Ag 0.3139 0.0285 0.6970 1
P1 P 0.1900 0.6331 0.8480 1
P2 P 0.3462 0.6731 0.4957 1
O1 O 0.0315 0.1485 0.5992 1
O2 O 0.1800 0.6711 0.6460 1
O3 O 0.2417 0.6214 0.3374 1
O4 O 0.2938 0.5331 0.8669 1
O5 O 0.3565 0.7088 0.9532 1
O6 O 0.4319 0.1471 0.9316 1

[2]
# Sm8MgTi4O20 (PBE, relaxed)
# V: 470.5 Å³ per cell
# DFT total energy: -8.35 eV/atom
# ΔE_f: -3.61 eV/atom
# Polymorph energy (0 for the lowest one): 0.00 eV per formula unit
data_Sm8MgTi4O20
_cell_length_a 7.8887
_cell_length_b 3.7406
_cell_length_c 15.9870
_cell_angle_alpha 90.00
_cell_angle_beta 94.18
_cell_angle_gamma 90.00
_space_group_name_H-M_alt 'P 1 m 1'
_space_group_IT_number 6
_space_group_name_Hall 'P -2y'
loop_
_atom_site_label
_atom_site_type_symbol
_atom_site_fract_x
_atom_site_fract_y
_atom_site_fract_z
_atom_site_occupancy
Sm1 Sm 0.0000 0.0000 0.0000 1
Sm2 Sm 0.0248 0.0000 0.6542 1
Sm3 Sm 0.2330 0.5000 0.1731 1
Sm4 Sm 0.2845 0.5000 0.4750 1
Sm5 Sm 0.4846 0.0000 0.9862 1
Sm6 Sm 0.5574 0.0000 0.3045 1
Sm7 Sm 0.7334 0.5000 0.8363 1
Sm8 Sm 0.7926 0.5000 0.4742 1
Mg1 Mg 0.3364 0.5000 0.6656 1
Ti1 Ti 0.0287 0.0000 0.3138 1
Ti2 Ti 0.2138 0.5000 0.8588 1
Ti3 Ti 0.6162 0.0000 0.6545 1
Ti4 Ti 0.7494 0.5000 0.1557 1
O1 O 0.0057 0.5000 0.9108 1
O2 O 0.0078 0.5000 0.2825 1
O3 O 0.0625 0.5000 0.5720 1
O4 O 0.1596 0.5000 0.7444 1
O5 O 0.1729 0.0000 0.4200 1
O6 O 0.2250 0.0000 0.8952 1
O7 O 0.2582 0.0000 0.2615 1
O8 O 0.2640 0.0000 0.0782 1
O9 O 0.3464 0.0000 0.6193 1
O10 O 0.4544 0.5000 0.8906 1
O11 O 0.5274 0.5000 0.4081 1
O12 O 0.5405 0.5000 0.2233 1
O13 O 0.5740 0.5000 0.7015 1
O14 O 0.6096 0.5000 0.0614 1
O15 O 0.7364 0.0000 0.9210 1
O16 O 0.7694 0.0000 0.5694 1
O17 O 0.7821 0.0000 0.1968 1
O18 O 0.8101 0.0000 0.7420 1
O19 O 0.8239 0.0000 0.3876 1
O20 O 0.9599 0.5000 0.0951 1

[3]
# CsUNbO6 (PBE, relaxed)
# V: 712.8 Å³ per cell
# DFT total energy: -8.55 eV/atom
# ΔE_f: -3.24 eV/atom
data_CsUNbO6
_cell_length_a 7.7368
_cell_length_b 8.8143
_cell_length_c 10.7744
_cell_angle_alpha 90.00
_cell_angle_beta 104.03
_cell_angle_gamma 90.00
_space_group_name_H-M_alt 'P 1 21/c 1'
_space_group_IT_number 14
_space_group_name_Hall '-P 2ybc'
loop_
_atom_site_label
_atom_site_type_symbol
_atom_site_fract_x
_atom_site_fract_y
_atom_site_fract_z
_atom_site_occupancy
Cs1 Cs 0.0373 0.2288 0.3586 1
U1 U 0.4874 0.0170 0.1783 1
Nb1 Nb 0.3879 0.6508 0.9443 1
O1 O 0.1536 0.6349 0.9289 1
O2 O 0.2483 0.0585 0.1275 1
O3 O 0.2732 0.0212 0.7691 1
O4 O 0.4285 0.7124 0.7785 1
O5 O 0.4658 0.6459 0.5051 1
O6 O 0.4671 0.0587 0.3886 1

[4]
# Cu2AgO4 (PBE, relaxed)
# V: 92.2 Å³ per cell
# DFT total energy: -4.74 eV/atom
# ΔE_f: -0.73 eV/atom
data_Cu2AgO4
_cell_length_a 3.7367
_cell_length_b 4.7883
_cell_length_c 5.2644
_cell_angle_alpha 82.63
_cell_angle_beta 88.32
_cell_angle_gamma 80.91
_space_group_name_H-M_alt 'P -1'
_space_group_IT_number 2
_space_group_name_Hall '-P 1'
loop_
_atom_site_label
_atom_site_type_symbol
_atom_site_fract_x
_atom_site_fract_y
_atom_site_fract_z
_atom_site_occupancy
Cu1 Cu 0.0000 0.0000 0.0000 1
Cu2 Cu 0.5000 0.5000 0.0000 1
Ag1 Ag 0.0000 0.5000 0.5000 1
O1 O 0.1676 0.7294 0.7810 1
O2 O 0.3026 0.7439 0.2278 1